Record 1
# ZrNi5

ZrNi5 after structural relaxation (r²SCAN, Materials Project).

a = 4.7004 Å, b = 4.7004 Å, c = 4.7004 Å
α = 60.00°, β = 60.00°, γ = 60.00°
Fractional coordinates of all 6 atoms:
Zr 0.0000 0.0000 0.0000
Ni 0.2500 0.2500 0.2500
Ni 0.6235 0.6235 0.6235
Ni 0.6235 0.6235 0.1296
Ni 0.1296 0.6235 0.6235
Ni 0.6235 0.1296 0.6235

Summary:
DFT total energy = -14.077 eV per atom
space-group type = F-43m, No. 216
total moment = 1.470 μB per formula unit

---

Record 2
# KC8

KC8 after structural relaxation (r²SCAN, Materials Project).

a = 4.9551 Å, b = 4.9551 Å, c = 10.8174 Å
α = 96.55°, β = 96.55°, γ = 119.99°
Fractional coordinates of all 18 atoms:
K 0.8750 0.1250 0.2500
K 0.1250 0.8750 0.7500
C 0.0841 0.1676 0.0001
C 0.1675 0.5840 0.4999
C 0.8324 0.9159 0.4999
C 0.4160 0.8325 0.0001
C 0.9159 0.8324 0.9999
C 0.8325 0.4160 0.5001
C 0.1676 0.0841 0.5001
C 0.5840 0.1675 0.9999
C 0.5827 0.6662 0.9976
C 0.6686 0.0851 0.5024
C 0.3338 0.4173 0.5024
C 0.9149 0.3314 0.9976
C 0.4173 0.3338 0.0024
C 0.3314 0.9149 0.4976
C 0.6662 0.5827 0.4976
C 0.0851 0.6686 0.0024

Summary:
DFT total energy = -9.557 eV per atom
space-group type = Fddd, No. 70
total moment = 0.000 μB per formula unit

---

Record 3
# YCo2Ge2

YCo2Ge2 after structural relaxation (r²SCAN, Materials Project).

a = 3.9308 Å, b = 3.9308 Å, c = 5.7429 Å
α = 110.01°, β = 110.01°, γ = 90.00°
Fractional coordinates of all 5 atoms:
Y 0.0000 0.0000 0.0000
Co 0.2500 0.7500 0.5000
Co 0.7500 0.2500 0.5000
Ge 0.6289 0.6289 0.2578
Ge 0.3711 0.3711 0.7422

Summary:
DFT total energy = -15.471 eV per atom
space-group type = I4/mmm, No. 139
total moment = 0.146 μB per formula unit